Entry from the Materials Project: crystalline V2ReOs at its relaxed geometry (r²SCAN).

```
V2ReOs
1.0
0.000 3.016 3.016
3.016 0.000 3.016
3.016 3.016 0.000
V Os Re
2 1 1
Direct
0.500 0.500 0.500 V
0.000 0.000 0.000 V
0.250 0.250 0.250 Os
0.750 0.750 0.750 Re
```

Formation enthalpy at 0 K: -1.59 eV/f.u.

Entry from the Materials Project: crystalline Pr2Mo3O12 at its relaxed geometry (r²SCAN).

```
Pr2Mo3O12
1.0
7.587 0.000 0.000
0.000 7.587 0.000
0.000 0.000 10.896
O Pr Mo
24 4 6
Direct
0.039 0.815 0.906 O
0.774 0.996 0.703 O
0.726 0.496 0.297 O
0.226 0.004 0.703 O
0.539 0.685 0.094 O
0.303 0.197 0.484 O
0.185 0.039 0.094 O
0.315 0.539 0.906 O
0.004 0.774 0.297 O
0.274 0.504 0.297 O
0.815 0.961 0.094 O
0.803 0.303 0.516 O
0.629 0.129 0.312 O
0.461 0.315 0.094 O
0.871 0.629 0.688 O
0.996 0.226 0.297 O
0.697 0.803 0.484 O
0.961 0.185 0.906 O
0.504 0.726 0.703 O
0.496 0.274 0.703 O
0.129 0.371 0.688 O
0.685 0.461 0.906 O
0.371 0.871 0.312 O
0.197 0.697 0.516 O
0.189 0.689 0.738 Pr
0.811 0.311 0.738 Pr
0.311 0.189 0.262 Pr
0.689 0.811 0.262 Pr
0.000 0.000 0.000 Mo
0.291 0.209 0.644 Mo
0.500 0.500 0.000 Mo
0.791 0.291 0.356 Mo
0.709 0.791 0.644 Mo
0.209 0.709 0.356 Mo
```

Formation enthalpy at 0 K: -46.19 eV/f.u.

Entry from the Materials Project: crystalline NpGa5Ni at its relaxed geometry (r²SCAN).

```
NpGa5Ni
1.0
4.250 0.000 0.000
0.000 4.212 0.000
0.000 0.000 6.767
Np Ga Ni
1 5 1
Direct
0.000 0.000 0.000 Np
0.500 0.500 0.000 Ga
0.000 0.500 0.692 Ga
0.000 0.500 0.308 Ga
0.500 0.000 0.308 Ga
0.500 0.000 0.692 Ga
0.000 0.000 0.500 Ni
```

Formation enthalpy at 0 K: -3.08 eV/f.u.

Entry from the Materials Project: crystalline ThSiNi at its relaxed geometry (r²SCAN).

```
ThSiNi
1.0
7.362 1.015 -1.320
6.012 1.628 4.264
-6.223 -4.141 -1.050
Ni Th Si
2 2 2
Direct
0.588 0.588 0.000 Ni
0.338 0.838 0.500 Ni
0.998 0.998 0.000 Th
0.748 0.248 0.500 Th
0.418 0.418 0.000 Si
0.168 0.668 0.500 Si
```

Formation enthalpy at 0 K: -2.51 eV/f.u.

Calculated magnetization, 0.014 0.000 3.709 0.000 μB per cell (same order as the records).